## LiNiOF2 (GGA+U)

Data for a geometry-optimized LiNiOF2 structure.

For the total DFT energy (no corrections), the calculation gives -0.169 Ha/atom. The calculated density comes out at 4.03 g/cm³. The energy of formation is -2101.5 meV/atom.

The structure belongs to space group P2_1/c (No. 14); the cell edges are 4.9597, 4.9100 and 9.3577 Å and the angles 90.00°, 120.09° and 90.00°. The inequivalent atoms are Li at (0.2231, 0.0318, 0.2562), Ni at (0.0000, 0.0000, 0.5000), Ni at (0.5000, 0.0000, 0.0000), O at (0.4384, 0.1019, 0.5371), F at (0.1447, 0.0847, 0.7451) and F at (0.2295, 0.6434, 0.5833).